VASP calculation (PBE with a Hubbard U) on K2Cr2P3O12 after structural relaxation.

a = 9.9136 Å, b = 9.9136 Å, c = 9.9136 Å
α = 90.00°, β = 90.00°, γ = 90.00°
With the nearest neighbours (Å) after each atom.
Element x y z (fractional)
K (0.8176, 0.8176, 0.8176)  9 O 2.88-2.99
K (0.6824, 0.1824, 0.3176)  9 O 2.88-2.99
K (0.1824, 0.3176, 0.6824)  9 O 2.88-2.99
K (0.3176, 0.6824, 0.1824)  9 O 2.88-2.99
K (0.0456, 0.0456, 0.0456)  9 O 2.83-3.13
K (0.4544, 0.9544, 0.5456)  9 O 2.83-3.13
K (0.9544, 0.5456, 0.4544)  9 O 2.83-3.13
K (0.5456, 0.4544, 0.9544)  9 O 2.83-3.13
Cr (0.3366, 0.3366, 0.3366)  6 O 1.97-2.00
Cr (0.1634, 0.6634, 0.8366)  6 O 1.97-2.00
Cr (0.6634, 0.8366, 0.1634)  6 O 1.97-2.00
Cr (0.8366, 0.1634, 0.6634)  6 O 1.97-2.00
Cr (0.6037, 0.6037, 0.6037)  6 O 1.99-2.01
Cr (0.8963, 0.3963, 0.1037)  6 O 1.99-2.01
Cr (0.3963, 0.1037, 0.8963)  6 O 1.99-2.01
Cr (0.1037, 0.8963, 0.3963)  6 O 1.99-2.01
P (0.0233, 0.2092, 0.3770)  4 O 1.54-1.55
P (0.4767, 0.7908, 0.8770)  4 O 1.54-1.55
P (0.9767, 0.7092, 0.1230)  4 O 1.54-1.55
P (0.3770, 0.0233, 0.2092)  4 O 1.54-1.55
P (0.5233, 0.2908, 0.6230)  4 O 1.54-1.55
P (0.8770, 0.4767, 0.7908)  4 O 1.54-1.55
P (0.1230, 0.9767, 0.7092)  4 O 1.54-1.55
P (0.6230, 0.5233, 0.2908)  4 O 1.54-1.55
P (0.2092, 0.3770, 0.0233)  4 O 1.54-1.55
P (0.7092, 0.1230, 0.9767)  4 O 1.54-1.55
P (0.2908, 0.6230, 0.5233)  4 O 1.54-1.55
P (0.7908, 0.8770, 0.4767)  4 O 1.54-1.55
O (0.0107, 0.0610, 0.3289)  1 P 1.55
O (0.4893, 0.9390, 0.8289)  1 P 1.55
O (0.9893, 0.5610, 0.1711)  1 P 1.55
O (0.3289, 0.0107, 0.0610)  1 P 1.55
O (0.5107, 0.4390, 0.6711)  1 P 1.55
O (0.8289, 0.4893, 0.9390)  1 P 1.55
O (0.1711, 0.9893, 0.5610)  1 P 1.55
O (0.6711, 0.5107, 0.4390)  1 P 1.55
O (0.0610, 0.3289, 0.0107)  1 P 1.55
O (0.5610, 0.1711, 0.9893)  1 P 1.55
O (0.4390, 0.6711, 0.5107)  1 P 1.55
O (0.9390, 0.8289, 0.4893)  1 P 1.55
O (0.1726, 0.2447, 0.4010)  1 P 1.54
O (0.3274, 0.7553, 0.9010)  1 P 1.54
O (0.8274, 0.7447, 0.0990)  1 P 1.54
O (0.4010, 0.1726, 0.2447)  1 P 1.54
O (0.6726, 0.2553, 0.5990)  1 P 1.54
O (0.9010, 0.3274, 0.7553)  1 P 1.54
O (0.0990, 0.8274, 0.7447)  1 P 1.54
O (0.5990, 0.6726, 0.2553)  1 P 1.54
O (0.2447, 0.4010, 0.1726)  1 P 1.54
O (0.7447, 0.0990, 0.8274)  1 P 1.54
O (0.2553, 0.5990, 0.6726)  1 P 1.54
O (0.7553, 0.9010, 0.3274)  1 P 1.54
O (0.0453, 0.8018, 0.2268)  1 P 1.54
O (0.4547, 0.1982, 0.7268)  1 P 1.54
O (0.9547, 0.3018, 0.2732)  1 P 1.54
O (0.2268, 0.0453, 0.8018)  1 P 1.54
O (0.5453, 0.6982, 0.7732)  1 P 1.54
O (0.7268, 0.4547, 0.1982)  1 P 1.54
O (0.2732, 0.9547, 0.3018)  1 P 1.54
O (0.7732, 0.5453, 0.6982)  1 P 1.54
O (0.8018, 0.2268, 0.0453)  1 P 1.54
O (0.3018, 0.2732, 0.9547)  1 P 1.54
O (0.6982, 0.7732, 0.5453)  1 P 1.54
O (0.1982, 0.7268, 0.4547)  1 P 1.54
O (0.2652, 0.4884, 0.4479)  1 P 1.55
O (0.2348, 0.5116, 0.9479)  1 P 1.55
O (0.7348, 0.9884, 0.0521)  1 P 1.55
O (0.4479, 0.2652, 0.4884)  1 P 1.55
O (0.7652, 0.0116, 0.5521)  1 P 1.55
O (0.9479, 0.2348, 0.5116)  1 P 1.55
O (0.0521, 0.7348, 0.9884)  1 P 1.55
O (0.5521, 0.7652, 0.0116)  1 P 1.55
O (0.4884, 0.4479, 0.2652)  1 P 1.55
O (0.9884, 0.0521, 0.7348)  1 P 1.55
O (0.0116, 0.5521, 0.7652)  1 P 1.55
O (0.5116, 0.9479, 0.2348)  1 P 1.55

Computed properties:
The calculation puts the formation energy at -4724.3 kJ/mol of formula units. Its volume is 974.3 Å³/cell. As for the space group: P2_13.